First-principles (PBE with a Hubbard U) data for an optimized crystal structure of NbVO4, as listed in the Materials Project.

a = 3.9643 Å, b = 9.8519 Å, c = 7.9287 Å
α = 90.00°, β = 90.36°, γ = 90.00°
Fractional coordinates of all 24 atoms:
O1 0.0125 0.2043 0.4998
O2 0.9953 0.4636 0.2477
V1 0.5073 0.7500 0.0034
O3 0.5058 0.5365 0.0021
O4 0.5039 0.9636 0.0025
O5 0.9945 0.0366 0.7479
O6 0.0003 0.7957 0.4956
O7 0.5065 0.5362 0.5020
O8 0.9994 0.7958 0.9950
Nb1 0.4814 0.5000 0.7592
O9 0.9934 0.0363 0.2480
O10 0.0121 0.2042 0.0003
O11 0.5045 0.9635 0.5022
O12 0.4994 0.2958 0.2545
V2 0.9909 0.2502 0.2469
Nb2 0.0187 0.0002 0.9907
V3 0.9931 0.2499 0.7465
Nb3 0.0189 0.0000 0.4906
O13 0.4874 0.7043 0.2501
O14 0.4880 0.7042 0.7498
O15 0.9964 0.4636 0.7474
O16 0.5009 0.2957 0.7550
V4 0.5087 0.7501 0.5033
Nb4 0.4808 0.4999 0.2593

## Properties
- Energy of formation: -2806 meV per atom
- Spin magnetization: 8.0 Bohr magnetons per cell
- Space group: P2_1
- Calculated volume: 309.7 Å³ per cell



First-principles (PBE with a Hubbard U) data for an optimized crystal structure of NbVO4, as listed in the Materials Project.

a = 4.5832 Å, b = 4.9922 Å, c = 11.9037 Å
α = 90.00°, β = 90.10°, γ = 90.00°
Fractional coordinates of all 24 atoms:
O1 0.7560 0.9138 0.4372
O2 0.7700 0.4264 0.3082
Nb1 0.0004 0.2462 0.1726
O3 0.7440 0.4137 0.0628
O4 0.7434 0.9146 0.9379
O5 0.2701 0.5712 0.1919
O6 0.2700 0.0735 0.8082
O7 0.7300 0.9264 0.1918
Nb2 0.4996 0.7462 0.3274
V1 0.4998 0.7488 0.0659
V2 0.0002 0.2488 0.4341
V3 0.9998 0.7512 0.5659
O8 0.2436 0.5854 0.4379
O9 0.2299 0.0712 0.3081
O10 0.7701 0.9288 0.6919
O11 0.7299 0.4288 0.8081
Nb3 0.9996 0.7538 0.8274
Nb4 0.5004 0.2538 0.6726
O12 0.2564 0.0854 0.0621
O13 0.2300 0.5735 0.6918
O14 0.2439 0.0863 0.5628
O15 0.7566 0.4146 0.5621
O16 0.2561 0.5863 0.9372
V4 0.5002 0.2512 0.9341

## Properties
- Energy of formation: -2822 meV per atom
- Space group: P2_1/c
- Calculated volume: 272.4 Å³ per cell